Entry 1:
Crystalline HfMg14BO15 at its relaxed geometry. Source: Materials Project, functional PBE. Values from VASP.

The structure in Quantum ESPRESSO input format:
```
&SYSTEM
  ibrav = 0, nat = 31, ntyp = 4
/
ATOMIC_SPECIES
Mg 24.30 Mg.upf
O 16.00 O.upf
Hf 178.49 Hf.upf
B 10.81 B.upf
CELL_PARAMETERS angstrom
8.6412 0.0000 0.0000
0.0000 8.7128 0.0000
0.0000 0.0000 4.2791
ATOMIC_POSITIONS crystal
Mg 0.4942 0.0000 0.0000
Mg 0.2406 0.0000 0.5000
Mg 0.0002 0.2423 0.5000
O 0.2496 0.7476 0.5000
O 0.4916 0.0000 0.5000
O 0.9998 0.7293 0.0000
O 0.7494 0.2482 0.5000
O 0.4968 0.7460 0.0000
Mg 0.4988 0.2372 0.5000
Mg 0.7602 0.0000 0.5000
O 0.2496 0.2524 0.5000
Mg 0.7646 0.2307 0.0000
O 0.4968 0.2540 0.0000
Mg 0.4988 0.7628 0.5000
Mg 0.7617 0.5000 0.5000
Mg 0.7646 0.7693 0.0000
O 0.7474 0.5000 0.0000
Mg 0.9968 0.5000 0.0000
O 0.7233 0.0000 0.0000
Hf 0.5023 0.5000 0.0000
O 0.0038 0.0000 0.5000
O 0.5013 0.5000 0.5000
O 0.2529 0.5000 0.0000
O 0.9992 0.5000 0.5000
Mg 0.2371 0.5000 0.5000
Mg 0.2370 0.7540 0.0000
O 0.9998 0.2707 0.0000
O 0.7494 0.7518 0.5000
B 0.0449 0.0000 0.0000
Mg 0.0002 0.7577 0.5000
Mg 0.2370 0.2460 0.0000
```

Computed properties:
Offset from the most stable computed form   0.070 eV per atom
Space group   Pmm2 (25)
DFT formation energy   -2.65 eV/atom
Total energy   -185.0 eV per cell



Entry 2:
Crystalline S2I2O11 at its relaxed geometry. Source: Materials Project, functional PBE. Values from VASP.

The structure in Quantum ESPRESSO input format:
```
&SYSTEM
  ibrav = 0, nat = 60, ntyp = 3
/
ATOMIC_SPECIES
O 16.00 O.upf
I 126.90 I.upf
S 32.06 S.upf
CELL_PARAMETERS angstrom
-9.2358 -4.9022 -2.0816
4.6488 -7.2154 -3.6341
0.6325 -4.6341 8.1069
ATOMIC_POSITIONS crystal
O 0.7802 0.3085 0.2488
O 0.2198 0.6915 0.7512
O 0.2871 0.6774 0.0833
O 0.5872 0.3334 0.3785
I 0.7220 0.1329 0.9175
S 0.0952 0.7776 0.8051
O 0.7871 0.8226 0.9167
I 0.1671 0.8672 0.3884
I 0.8329 0.1328 0.6116
S 0.6537 0.2197 0.3136
S 0.4048 0.2776 0.8051
O 0.1166 0.8829 0.1758
O 0.5958 0.1552 0.1955
S 0.3463 0.7803 0.6864
O 0.8283 0.6130 0.7083
O 0.5325 0.6583 0.3205
O 0.9042 0.6552 0.1955
O 0.6717 0.1130 0.7083
O 0.9675 0.1583 0.3205
O 0.2802 0.1915 0.7512
O 0.0958 0.3448 0.8045
S 0.8463 0.7197 0.3136
O 0.8529 0.1061 0.1083
O 0.3529 0.3939 0.8917
O 0.3283 0.8870 0.2917
O 0.4128 0.6666 0.6215
O 0.9128 0.8334 0.3785
O 0.4042 0.8448 0.8045
I 0.2780 0.8671 0.0825
I 0.2220 0.3671 0.0825
O 0.7947 0.6057 0.4203
O 0.1471 0.8939 0.8917
O 0.0325 0.8417 0.6795
O 0.2053 0.3943 0.5797
O 0.7129 0.3226 0.9167
O 0.4681 0.1636 0.8914
O 0.7053 0.1057 0.4203
O 0.9681 0.3364 0.1086
I 0.3329 0.3672 0.3884
O 0.6606 0.8216 0.5802
O 0.8834 0.1171 0.8242
O 0.4675 0.3417 0.6795
O 0.3834 0.3829 0.1758
O 0.5319 0.8364 0.1086
O 0.6471 0.6061 0.1083
O 0.8394 0.3216 0.5802
O 0.6166 0.6171 0.8242
O 0.7198 0.8085 0.2488
O 0.2947 0.8943 0.5797
O 0.0872 0.1666 0.6215
O 0.1717 0.3870 0.2917
O 0.2129 0.1774 0.0833
O 0.0319 0.6636 0.8914
S 0.5952 0.7224 0.1949
I 0.6671 0.6328 0.6116
S 0.1537 0.2803 0.6864
O 0.3394 0.1784 0.4198
I 0.7780 0.6329 0.9175
S 0.9048 0.2224 0.1949
O 0.1606 0.6784 0.4198
```

Computed properties:
Offset from the most stable computed form   0.005 eV per atom
Space group   P2_1/c (14)
DFT formation energy   -1.23 eV/atom
Total energy   -306.7 eV per cell